[1]
Compound: Li5Ni3N3
Source: the Materials Project
Functional: r2SCAN
Structure: optimized geometry

Properties
For the total moment, the calculation gives 0.000 μB per cell. Its formation energy is -0.441 eV/atom. The symmetry is P-62m.

Cell: 6.447 6.447 3.450 Å, 90.00 90.00 120.00°
Positions (direct):
Li  0.667  0.333  0.500
Li  0.333  0.667  0.500
Li  0.000  0.263  0.500
Li  0.263  0.000  0.500
Li  0.737  0.737  0.500
Ni  0.000  0.632  0.000
Ni  0.368  0.368  0.000
Ni  0.632  0.000  0.000
N  0.000  0.634  0.500
N  0.634  0.000  0.500
N  0.366  0.366  0.500

***

[2]
Compound: LiOsN2
Source: the Materials Project
Functional: r2SCAN
Structure: optimized geometry

Properties
For the total moment, the calculation gives 0.000 μB per cell. Its formation energy is -0.034 eV/atom. The symmetry is Pna2_1.

Cell: 5.645 6.462 5.385 Å, 90.00 90.00 90.00°
Positions (direct):
Li  0.579  0.378  0.003
Li  0.421  0.622  0.503
Li  0.921  0.878  0.503
Li  0.079  0.122  0.003
Os  0.572  0.875  0.008
Os  0.428  0.125  0.508
Os  0.928  0.375  0.508
Os  0.072  0.625  0.008
N  0.610  0.357  0.402
N  0.390  0.643  0.902
N  0.890  0.857  0.902
N  0.110  0.143  0.402
N  0.569  0.892  0.357
N  0.431  0.108  0.857
N  0.931  0.392  0.857
N  0.069  0.608  0.357

***

[3]
Compound: LiTa3N4
Source: the Materials Project
Functional: r2SCAN
Structure: optimized geometry

Properties
For the total moment, the calculation gives 0.000 μB per cell. Its formation energy is -1.392 eV/atom. The symmetry is Pnn2.

Cell: 5.191 9.000 10.381 Å, 90.00 90.00 90.00°
Positions (direct):
Li  0.000  0.007  0.500
Li  0.000  0.672  0.000
Li  0.000  0.987  0.000
Li  0.500  0.507  0.000
Li  0.500  0.487  0.500
Li  0.500  0.172  0.500
Ta  0.160  0.835  0.753
Ta  0.329  0.002  0.252
Ta  0.500  0.817  0.000
Ta  0.500  0.851  0.500
Ta  0.666  0.664  0.751
Ta  0.660  0.335  0.747
Ta  0.671  0.002  0.748
Ta  0.829  0.502  0.248
Ta  0.840  0.835  0.247
Ta  0.000  0.663  0.500
Ta  0.000  0.351  0.000
Ta  0.000  0.317  0.500
Ta  0.166  0.164  0.749
Ta  0.171  0.502  0.752
Ta  0.334  0.664  0.249
Ta  0.340  0.335  0.253
Ta  0.500  0.163  0.000
Ta  0.834  0.164  0.251
N  0.178  0.832  0.122
N  0.335  0.669  0.879
N  0.335  0.999  0.621
N  0.663  0.998  0.119
N  0.668  0.670  0.381
N  0.665  0.669  0.121
N  0.832  0.833  0.618
N  0.822  0.832  0.878
N  0.835  0.169  0.621
N  0.832  0.170  0.881
N  0.835  0.499  0.879
N  0.837  0.498  0.619
N  0.163  0.498  0.381
N  0.165  0.499  0.121
N  0.168  0.833  0.382
N  0.168  0.170  0.119
N  0.165  0.169  0.379
N  0.332  0.670  0.619
N  0.322  0.332  0.622
N  0.332  0.333  0.882
N  0.337  0.998  0.881
N  0.665  0.999  0.379
N  0.678  0.332  0.378
N  0.668  0.333  0.118

***

[4]
Compound: Li2ThN2
Source: the Materials Project
Functional: r2SCAN
Structure: optimized geometry

Properties
For the total moment, the calculation gives 0.000 μB per cell. Its formation energy is -1.258 eV/atom. The symmetry is P-3.

Cell: 6.385 6.385 5.505 Å, 90.00 90.00 120.00°
Positions (direct):
Li  0.328  0.339  0.405
Li  0.010  0.672  0.405
Li  0.661  0.990  0.405
Li  0.339  0.010  0.595
Li  0.672  0.661  0.595
Li  0.990  0.328  0.595
Th  0.667  0.333  0.006
Th  0.333  0.667  0.994
Th  0.000  0.000  0.000
N  0.668  0.002  0.770
N  0.998  0.665  0.770
N  0.335  0.332  0.770
N  0.332  0.998  0.230
N  0.665  0.668  0.230
N  0.002  0.335  0.230

***

[5]
Compound: Li2ThN2
Source: the Materials Project
Functional: r2SCAN
Structure: optimized geometry

Properties
For the total moment, the calculation gives 0.000 μB per cell. Its formation energy is -1.257 eV/atom. The symmetry is P-3m1.

Cell: 3.688 3.688 5.506 Å, 90.00 90.00 120.00°
Positions (direct):
Li  0.333  0.667  0.405
Li  0.667  0.333  0.595
Th  0.000  0.000  0.000
N  0.333  0.667  0.771
N  0.667  0.333  0.229

***

[6]
Compound: LiTi2N3
Source: the Materials Project
Functional: r2SCAN
Structure: optimized geometry

Properties
For the total moment, the calculation gives 0.000 μB per cell. Its formation energy is -1.585 eV/atom. The symmetry is Cmc2_1.

Cell: 6.047 6.241 4.143 Å, 90.00 90.00 121.07°
Positions (direct):
Li  0.000  0.647  0.433
Li  0.000  0.353  0.933
Ti  0.324  0.332  0.431
Ti  0.676  0.009  0.431
Ti  0.676  0.668  0.931
Ti  0.324  0.991  0.931
N  0.363  0.330  0.931
N  0.637  0.967  0.931
N  0.637  0.670  0.431
N  0.363  0.033  0.431
N  0.000  0.697  0.931
N  0.000  0.303  0.431

***

[7]
Compound: Li2TiN2
Source: the Materials Project
Functional: r2SCAN
Structure: optimized geometry

Properties
For the total moment, the calculation gives 0.000 μB per cell. Its formation energy is -1.262 eV/atom. The symmetry is P-3m1.

Cell: 3.069 3.069 5.384 Å, 90.00 90.00 120.00°
Positions (direct):
Li  0.667  0.333  0.371
Li  0.333  0.667  0.629
Ti  0.000  0.000  0.000
N  0.667  0.333  0.788
N  0.333  0.667  0.212

***

[8]
Compound: LiUN2
Source: the Materials Project
Functional: r2SCAN
Structure: optimized geometry

Properties
For the total moment, the calculation gives 2.000 μB per cell. Its formation energy is -1.489 eV/atom. The symmetry is I4_1/amd.

Cell: 4.390 4.390 6.346 Å, 110.24 110.24 90.00°
Positions (direct):
Li  0.125  0.375  0.750
Li  0.875  0.625  0.250
U  0.625  0.875  0.750
U  0.375  0.125  0.250
N  0.416  0.666  0.333
N  0.166  0.916  0.833
N  0.834  0.084  0.167
N  0.584  0.334  0.667